{"formula": "Er2BPt6", "functional": "r2SCAN", "state": "optimized geometry", "sg": "P4/mmm", "dft_energy_ev_per_atom": -43.7190, "total_magnetization_mub_per_cell": 0.000, "cell": [[-1.0628, -3.6044, 2.0426], [3.2097, -2.0496, -1.9469], [4.8847, 1.9562, 5.9936]], "species": ["Pt", "Pt", "Er", "Er", "B", "Pt", "Pt", "Pt", "Pt"], "fractional_positions": [[0.0000, 0.5000, 0.2500], [0.0000, 0.5000, 0.7500], [0.0000, 0.0000, 0.5087], [0.0000, 0.0000, 0.9913], [0.5000, 0.5000, 0.2500], [0.5000, 0.5000, 0.9869], [0.5000, 0.0000, 0.2500], [0.5000, 0.0000, 0.7500], [0.5000, 0.5000, 0.5131]]}